## Cr3Se4 (PBE-GGA)

Data for Cr3Se4 after structural relaxation.

Its formation energy is -766.7 meV/atom. The crystal system is monoclinic.

The structure belongs to space group C2/m (No. 12); the cell edges are 13.340, 3.680 and 6.435 Å and the angles 90.00°, 117.19° and 90.00°. Symmetry generates all atoms from Cr at (0.000, 0.000, 0.000), Cr at (0.238, 0.500, 0.718), Se at (0.123, 0.000, 0.451) and Se at (0.134, 0.500, 0.977).